The following is a DFT calculation (r²SCAN) of Tl2Te after structural relaxation.

a b c (Å): 9.235 9.235 31.821
angles (deg): 81.52 81.52 59.14
Positions (direct):
Tl 0.794 0.598 0.188
Te 0.289 0.781 0.515
Tl 0.036 0.518 0.623
Te 0.981 0.816 0.128
Tl 0.168 0.045 0.759
Tl 0.196 0.721 0.309
Te 0.019 0.518 0.274
Te 0.602 0.398 0.250
Tl 0.515 0.317 0.587
Te 0.816 0.981 0.628
Tl 0.804 0.279 0.691
Tl 0.598 0.794 0.688
Tl 0.562 0.711 0.001
Tl 0.105 0.159 0.463
Tl 0.744 0.269 0.354
Tl 0.279 0.804 0.191
Tl 0.256 0.731 0.646
Te 0.321 0.456 0.395
Te 0.773 0.910 0.352
Tl 0.832 0.955 0.241
Tl 0.841 0.895 0.037
Te 0.219 0.711 0.985
Tl 0.438 0.289 0.999
Tl 0.482 0.964 0.877
Tl 0.731 0.256 0.146
Tl 0.308 0.394 0.197
Tl 0.518 0.036 0.123
Tl 0.317 0.515 0.087
Tl 0.269 0.744 0.854
Te 0.482 0.981 0.226
Tl 0.683 0.485 0.913
Tl 0.523 0.058 0.436
Te 0.090 0.227 0.148
Te 0.518 0.019 0.774
Tl 0.942 0.477 0.064
Tl 0.045 0.168 0.259
Tl 0.721 0.196 0.809
Tl 0.159 0.105 0.963
Tl 0.485 0.683 0.413
Tl 0.833 0.005 0.929
Tl 0.711 0.562 0.501
Te 0.910 0.773 0.852
Te 0.711 0.219 0.485
Tl 0.995 0.167 0.571
Te 0.227 0.090 0.648
Tl 0.167 0.995 0.071
Tl 0.206 0.402 0.812
Tl 0.692 0.606 0.803
Tl 0.477 0.942 0.564
Te 0.781 0.289 0.015
Tl 0.402 0.206 0.312
Te 0.398 0.602 0.750
Te 0.679 0.544 0.605
Te 0.019 0.184 0.872
Tl 0.289 0.438 0.499
Tl 0.895 0.841 0.537
Tl 0.606 0.692 0.303
Tl 0.005 0.833 0.429
Tl 0.955 0.832 0.741
Tl 0.964 0.482 0.377
Te 0.184 0.019 0.372
Te 0.981 0.482 0.726
Te 0.544 0.679 0.105
Tl 0.058 0.523 0.936
Tl 0.394 0.308 0.697
Te 0.456 0.321 0.895

formation energy: -0.365 eV per atom
space group: C2/c
volume: 2295.8 Å³/cell